1.
VASP calculation (GGA-PBE) on La2TeO6 after structural relaxation.

- formation energy (eV per atom) = -3.004
- V (Å³ per cell) = 556.0
- maximum piezoelectric response (C/m2) = 0.3
- space group = P2_12_12_1
- E (MP2020) (eV per atom) = -7.748
- relative energy among the computed polymorphs (eV/atom) = 0.000

Lattice parameters (Å, degrees): 5.5551 9.5476 10.4841 90.00 90.00 90.00
Closest atoms and distances in Å follow each position.
Element x y z (fractional)
La: 0.5296 0.2174 0.3590  7 O 2.43-2.67
O: 0.8007 0.3626 0.8248  1 Te 1.96
O: 0.7551 0.4159 0.4919  1 Te 1.99
O: 0.6686 0.9477 0.7823  1 Te 1.94
O: 0.8314 0.0523 0.2823  1 Te 1.94
La: 0.9704 0.7826 0.8590  7 O 2.43-2.67
Te: 0.4606 0.9960 0.6408  6 O 1.94-1.99
La: 0.9756 0.8957 0.4557  6 O 2.38-2.63
O: 0.2551 0.0841 0.5081  1 Te 1.99
O: 0.3007 0.1374 0.1752  1 Te 1.96
O: 0.9263 0.1486 0.0232  1 Te 1.95
La: 0.0296 0.2826 0.6410  7 O 2.43-2.67
La: 0.4704 0.7174 0.1410  7 O 2.43-2.67
O: 0.1993 0.8626 0.6752  1 Te 1.96
O: 0.7191 0.1122 0.5642  1 Te 1.98
O: 0.6779 0.6353 0.7467  1 Te 1.94
O: 0.1686 0.5523 0.2177  1 Te 1.94
O: 0.8221 0.3647 0.2467  1 Te 1.94
O: 0.3314 0.4477 0.7177  1 Te 1.94
Te: 0.9606 0.5040 0.3592  6 O 1.94-1.99
O: 0.2449 0.9159 0.0081  1 Te 1.99
O: 0.4263 0.3514 0.9768  1 Te 1.95
La: 0.5244 0.1043 0.9557  6 O 2.38-2.63
O: 0.3221 0.1353 0.7533  1 Te 1.94
La: 0.0244 0.3957 0.0443  6 O 2.38-2.63
Te: 0.0394 0.0040 0.1408  6 O 1.94-1.99
Te: 0.5394 0.4960 0.8592  6 O 1.94-1.99
O: 0.0737 0.6486 0.4768  1 Te 1.95
O: 0.2809 0.6122 0.9358  1 Te 1.98
O: 0.6993 0.6374 0.3248  1 Te 1.96
O: 0.7449 0.5841 0.9919  1 Te 1.99
O: 0.2191 0.3878 0.4358  1 Te 1.98
O: 0.5737 0.8514 0.5232  1 Te 1.95
O: 0.7809 0.8878 0.0642  1 Te 1.98
O: 0.1779 0.8647 0.2533  1 Te 1.94
La: 0.4756 0.6043 0.5443  6 O 2.38-2.63

2.
VASP calculation (GGA-PBE) on La2TeO6 after structural relaxation.

- formation energy (eV per atom) = -2.903
- magnetization (μB per formula unit) = 0.00
- V (Å³ per cell) = 136.4
- space group = R-3
- E (MP2020) (eV per atom) = -7.648
- relative energy among the computed polymorphs (eV/atom) = 0.100

Lattice parameters (Å, degrees): 5.6544 5.6544 5.6544 63.02 63.02 63.02
Closest atoms and distances in Å follow each position.
Element x y z (fractional)
O: 0.8727 0.6732 0.2075  1 Te 1.94
O: 0.2075 0.8727 0.6732  1 Te 1.94
O: 0.1273 0.3268 0.7925  1 Te 1.94
La: 0.7516 0.7516 0.7516  3 O 2.38
O: 0.3268 0.7925 0.1273  1 Te 1.94
Te: 0.0000 0.0000 0.0000  6 O 1.94
La: 0.2484 0.2484 0.2484  3 O 2.38
O: 0.7925 0.1273 0.3268  1 Te 1.94
O: 0.6732 0.2075 0.8727  1 Te 1.94

3.
VASP calculation (GGA-PBE) on La2Te4O11 after structural relaxation.

- formation energy (eV per atom) = -2.304
- V (Å³ per cell) = 563.4
- space group = C2/c
- E (MP2020) (eV per atom) = -6.826

Lattice parameters (Å, degrees): 7.0043 7.0043 16.7770 76.57 76.57 45.01
Closest atoms and distances in Å follow each position.
Element x y z (fractional)
O: 0.8189 0.6767 0.8719  1 Te 1.92
O: 0.3233 0.1811 0.6281  1 Te 1.92
O: 0.1944 0.0966 0.8296  1 Te 1.86
O: 0.3840 0.5646 0.1026  1 Te 1.91
O: 0.8526 0.1474 0.7500  2 Te 2.03
O: 0.8059 0.0461 0.4529  1 Te 1.90
O: 0.1474 0.8526 0.2500  2 Te 2.03
O: 0.1941 0.9538 0.5471  1 Te 1.90
O: 0.5646 0.3840 0.6026  1 Te 1.91
O: 0.8056 0.9034 0.1704  1 Te 1.86
O: 0.2537 0.3323 0.4434  1 Te 1.91
O: 0.9034 0.8056 0.6704  1 Te 1.86
O: 0.6767 0.8189 0.3719  1 Te 1.92
O: 0.4354 0.6160 0.3974  1 Te 1.91
La: 0.1335 0.6287 0.5387  7 O 2.41-2.63
Te: 0.1481 0.5856 0.8738  3 O 1.90-1.92
Te: 0.8519 0.4144 0.1262  3 O 1.90-1.92
Te: 0.5856 0.1481 0.3738  3 O 1.90-1.92
Te: 0.1563 0.6085 0.2005  3 O 1.86-2.03
O: 0.6677 0.7463 0.0566  1 Te 1.91
Te: 0.3915 0.8437 0.2995  3 O 1.86-2.03
La: 0.6287 0.1335 0.0387  7 O 2.41-2.63
La: 0.3713 0.8665 0.9613  7 O 2.41-2.63
La: 0.8665 0.3713 0.4613  7 O 2.41-2.63
O: 0.9538 0.1941 0.0471  1 Te 1.90
O: 0.3323 0.2537 0.9434  1 Te 1.91
Te: 0.6085 0.1563 0.7005  3 O 1.86-2.03
O: 0.1811 0.3233 0.1281  1 Te 1.92
O: 0.0461 0.8059 0.9529  1 Te 1.90
O: 0.6160 0.4354 0.8974  1 Te 1.91
O: 0.0966 0.1944 0.3296  1 Te 1.86
Te: 0.8437 0.3915 0.7995  3 O 1.86-2.03
Te: 0.4144 0.8519 0.6262  3 O 1.90-1.92
O: 0.7463 0.6677 0.5566  1 Te 1.91

4.
VASP calculation (GGA-PBE) on LaTiTeO6 after structural relaxation.

- formation energy (eV per atom) = -2.836
- magnetization (μB per formula unit) = 0.78
- V (Å³ per cell) = 128.3
- space group = P312
- E (MP2020) (eV per atom) = -7.910

Lattice parameters (Å, degrees): 5.3348 5.3348 5.2055 90.00 90.00 120.00
Closest atoms and distances in Å follow each position.
Element x y z (fractional)
La: 0.3333 0.6667 0.5000  6 O 2.47
Te: 0.0000 0.0000 0.0000  6 O 2.04
O: 0.6982 0.0386 0.2116  1 Ti 1.99, 1 Te 2.04
O: 0.6982 0.6596 0.7884  1 Ti 1.99, 1 Te 2.04
O: 0.9614 0.6596 0.2116  1 Ti 1.99, 1 Te 2.04
O: 0.3404 0.0386 0.7884  1 Ti 1.99, 1 Te 2.04
O: 0.3404 0.3018 0.2116  1 Ti 1.99, 1 Te 2.04
O: 0.9614 0.3018 0.7884  1 Ti 1.99, 1 Te 2.04
Ti: 0.6667 0.3333 0.0000  6 O 1.99

5.
VASP calculation (GGA-PBE) on La2Th3O9 after structural relaxation.

- formation energy (eV per atom) = -4.169
- magnetization (μB per formula unit) = 0.00
- V (Å³ per cell) = 226.6
- space group = I-4m2
- E (MP2020) (eV per atom) = -9.644

Lattice parameters (Å, degrees): 14.5194 14.5194 14.5194 164.21 164.21 22.40
Closest atoms and distances in Å follow each position.
Element x y z (fractional)
O: 0.8937 0.8937 0.0000  2 Th 2.37, 2 La 2.44
O: 0.2028 0.2028 0.0000  4 Th 2.41-2.47
O: 0.5977 0.5977 0.0000  2 La 2.31, 2 Th 2.52
O: 0.0000 0.0000 0.0000  4 La 2.57
La: 0.0567 0.5567 0.5000  6 O 2.31-2.57
La: 0.4433 0.9433 0.5000  6 O 2.31-2.57
O: 0.1063 0.1063 0.0000  2 Th 2.37, 2 La 2.44
O: 0.7972 0.7972 0.0000  4 Th 2.41-2.47
Th: 0.6515 0.1515 0.5000  8 O 2.37-2.52
O: 0.4023 0.4023 0.0000  2 La 2.31, 2 Th 2.52
Th: 0.2500 0.7500 0.5000  8 O 2.41-2.47
O: 0.6987 0.6987 0.0000  4 Th 2.40-2.47
Th: 0.8485 0.3485 0.5000  8 O 2.37-2.52
O: 0.3013 0.3013 0.0000  4 Th 2.40-2.47

6.
VASP calculation (GGA-PBE) on La2Th11O26 after structural relaxation.

- formation energy (eV per atom) = -4.183
- V (Å³ per cell) = 583.6
- space group = P-1
- E (MP2020) (eV per atom) = -9.826

Lattice parameters (Å, degrees): 6.9084 6.9092 12.6177 90.01 100.52 99.60
Closest atoms and distances in Å follow each position.
Element x y z (fractional)
Th: 0.1153 0.7680 0.9619  8 O 2.42-2.45
O: 0.1130 0.2607 0.2094  3 Th 2.42, 1 La 2.51
O: 0.5709 0.3440 0.5533  3 Th 2.41-2.43, 1 La 2.50
O: 0.5070 0.4960 0.2495  3 Th 2.42-2.43, 1 La 2.50
La: 0.1924 0.6154 0.2694  8 O 2.50-2.51
O: 0.8081 0.8849 0.9815  4 Th 2.45
Th: 0.8847 0.2320 0.0381  8 O 2.42-2.45
O: 0.1919 0.1151 0.0185  4 Th 2.45
Th: 0.0375 0.9228 0.6542  8 O 2.41-2.44
Th: 0.5780 0.8465 0.8076  8 O 2.42-2.45
O: 0.9549 0.5763 0.0922  3 Th 2.42, 1 La 2.51
O: 0.4930 0.5040 0.7505  3 Th 2.42-2.43, 1 La 2.50
O: 0.4291 0.6560 0.4467  3 Th 2.41-2.43, 1 La 2.50
O: 0.8870 0.7393 0.7906  3 Th 2.42, 1 La 2.51
Th: 0.9625 0.0772 0.3458  8 O 2.41-2.44
O: 0.5756 0.3460 0.0576  4 Th 2.45
O: 0.7283 0.0297 0.6712  3 Th 2.42, 1 La 2.50
La: 0.8076 0.3846 0.7306  8 O 2.50-2.51
O: 0.0451 0.4237 0.9078  3 Th 2.42, 1 La 2.51
O: 0.1224 0.2651 0.7110  3 Th 2.42-2.43, 1 La 2.50
O: 0.9652 0.5828 0.5931  3 Th 2.41-2.43, 1 La 2.50
O: 0.4244 0.6540 0.9424  4 Th 2.45
O: 0.3499 0.8124 0.1313  3 Th 2.42, 1 La 2.50
Th: 0.5000 0.0000 0.5000  8 O 2.41-2.44
O: 0.8084 0.8864 0.4806  4 Th 2.44-2.45
O: 0.6543 0.1907 0.3650  4 Th 2.44-2.45
O: 0.1916 0.1136 0.5194  4 Th 2.44-2.45
O: 0.8776 0.7349 0.2890  3 Th 2.42-2.43, 1 La 2.50
O: 0.7305 0.0396 0.1729  4 Th 2.44-2.45
O: 0.2695 0.9604 0.8271  4 Th 2.44-2.45
O: 0.0348 0.4172 0.4069  3 Th 2.41-2.43, 1 La 2.50
O: 0.2717 0.9703 0.3288  3 Th 2.42, 1 La 2.50
Th: 0.6538 0.6921 0.1162  8 O 2.42-2.45
Th: 0.4220 0.1535 0.1924  8 O 2.42-2.45
Th: 0.3462 0.3079 0.8838  8 O 2.42-2.45
O: 0.3457 0.8093 0.6350  4 Th 2.44-2.45
O: 0.6501 0.1876 0.8687  3 Th 2.42, 1 La 2.50
Th: 0.7309 0.5384 0.4231  8 O 2.43-2.45
Th: 0.2691 0.4616 0.5769  8 O 2.43-2.45

7.
VASP calculation (GGA-PBE) on La2Th2O7 after structural relaxation.

- formation energy (eV per atom) = -4.086
- magnetization (μB per formula unit) = 0.00
- V (Å³ per cell) = 182.6
- maximum piezoelectric response (C/m2) = 0.6
- space group = P-4m2
- E (MP2020) (eV per atom) = -9.480

Lattice parameters (Å, degrees): 3.9928 3.9928 11.4544 90.00 90.00 90.00
Closest atoms and distances in Å follow each position.
Element x y z (fractional)
La: 0.0000 0.5000 0.1418  6 O 2.32-2.57
La: 0.5000 0.0000 0.8582  6 O 2.32-2.57
Th: 0.5000 0.0000 0.3774  8 O 2.39-2.50
O: 0.5000 0.5000 0.2632  2 Th 2.39, 2 La 2.43
Th: 0.0000 0.5000 0.6226  8 O 2.39-2.50
O: 0.0000 0.0000 0.7545  2 La 2.32, 2 Th 2.50
O: 0.5000 0.5000 0.7368  2 Th 2.39, 2 La 2.43
O: 0.5000 0.5000 0.0000  4 La 2.57
O: 0.0000 0.0000 0.2455  2 La 2.32, 2 Th 2.50
O: 0.0000 0.0000 0.5000  4 Th 2.44
O: 0.5000 0.5000 0.5000  4 Th 2.44, 2 O 2.71

8.
VASP calculation (GGA-PBE) on LaTh4O10 after structural relaxation.

- formation energy (eV per atom) = -4.126
- V (Å³ per cell) = 224.9
- space group = I4/m
- E (MP2020) (eV per atom) = -9.731

Lattice parameters (Å, degrees): 6.9141 6.9141 6.9141 99.59 99.59 131.82
Closest atoms and distances in Å follow each position.
Element x y z (fractional)
O: 0.7500 0.2500 0.5000  4 Th 2.45
O: 0.0398 0.1428 0.6936  3 Th 2.42-2.43, 1 La 2.50
O: 0.9602 0.8572 0.3064  3 Th 2.42-2.43, 1 La 2.50
O: 0.3462 0.0398 0.8971  3 Th 2.42-2.43, 1 La 2.50
O: 0.8572 0.5508 0.8971  3 Th 2.42-2.43, 1 La 2.50
La: 0.5000 0.5000 0.0000  8 O 2.50
O: 0.4492 0.3462 0.3064  3 Th 2.42-2.43, 1 La 2.50
Th: 0.7005 0.1005 0.8010  8 O 2.42-2.45
O: 0.6538 0.9602 0.1029  3 Th 2.42-2.43, 1 La 2.50
Th: 0.1005 0.2995 0.4000  8 O 2.42-2.45
O: 0.1428 0.4492 0.1029  3 Th 2.42-2.43, 1 La 2.50
O: 0.5508 0.6538 0.6936  3 Th 2.42-2.43, 1 La 2.50
Th: 0.8995 0.7005 0.6000  8 O 2.42-2.45
Th: 0.2995 0.8995 0.1990  8 O 2.42-2.45
O: 0.2500 0.7500 0.5000  4 Th 2.45